The following is a DFT calculation (PBE) of crystalline Li3BiB2O6 at its relaxed geometry.

Properties
Distance to the lowest polymorph of the same formula in eV/f.u.: 0.88
Total moment in μB per cell: 0.0
Raw total energy in eV per atom: -6.438
V in Å³/cell: 535.2
Symmetry: P2_1/c (14)
Corrected total energy (MP2020 scheme) in eV per atom: -6.781
E_form in eV/f.u.: -28.710

Lattice parameters (Å, degrees): 6.661 8.612 11.007 90.00 122.05 90.00
Fractional positions:
1 Li 0.062 0.182 0.111
2 Li 0.062 0.318 0.611
3 Li 0.154 0.075 0.402
4 Li 0.154 0.425 0.902
5 Li 0.268 0.741 0.321
6 Li 0.268 0.759 0.821
7 Li 0.732 0.241 0.179
8 Li 0.732 0.259 0.679
9 Li 0.846 0.575 0.098
10 Li 0.846 0.925 0.598
11 Li 0.938 0.682 0.389
12 Li 0.938 0.818 0.889
13 Bi 0.496 0.622 0.650
14 Bi 0.496 0.878 0.150
15 Bi 0.504 0.122 0.850
16 Bi 0.504 0.378 0.350
17 B 0.075 0.105 0.854
18 B 0.075 0.395 0.354
19 B 0.344 0.564 0.107
20 B 0.344 0.936 0.607
21 B 0.656 0.064 0.393
22 B 0.656 0.436 0.893
23 B 0.925 0.605 0.646
24 B 0.925 0.895 0.146
25 O 0.119 0.609 0.635
26 O 0.119 0.891 0.135
27 O 0.142 0.236 0.807
28 O 0.142 0.264 0.307
29 O 0.211 0.529 0.383
30 O 0.211 0.971 0.883
31 O 0.271 0.088 0.604
32 O 0.271 0.412 0.104
33 O 0.294 0.640 0.983
34 O 0.294 0.860 0.483
35 O 0.473 0.638 0.241
36 O 0.473 0.862 0.741
37 O 0.527 0.138 0.259
38 O 0.527 0.362 0.759
39 O 0.706 0.140 0.517
40 O 0.706 0.360 0.017
41 O 0.729 0.588 0.896
42 O 0.729 0.912 0.396
43 O 0.789 0.029 0.117
44 O 0.789 0.471 0.617
45 O 0.858 0.736 0.693
46 O 0.858 0.764 0.193
47 O 0.881 0.109 0.865
48 O 0.881 0.391 0.365


The following is a DFT calculation (PBE) of crystalline TiAlNi2 at its relaxed geometry.

Properties
Raw total energy in eV per atom: -6.312
V in Å³/cell: 51.6
Symmetry: P4/mmm (123)
E_form in eV/f.u.: -2.047

Lattice parameters (Å, degrees): 2.958 2.958 5.895 90.00 90.00 90.00
Fractional positions:
1 Ti 0.000 0.000 0.000
2 Al 0.000 0.000 0.500
3 Ni 0.500 0.500 0.250
4 Ni 0.500 0.500 0.750


The following is a DFT calculation (PBE) of crystalline ZrCoP at its relaxed geometry.

Properties
Raw total energy in eV per atom: -8.174
V in Å³/cell: 168.6
Symmetry: Pnma (62)
E_form in eV/f.u.: -3.453

Lattice parameters (Å, degrees): 6.350 3.701 7.176 90.00 90.00 90.00
Fractional positions:
1 Zr 0.019 0.250 0.183
2 Zr 0.481 0.750 0.683
3 Zr 0.519 0.250 0.317
4 Zr 0.981 0.750 0.817
5 Co 0.138 0.250 0.561
6 Co 0.362 0.750 0.061
7 Co 0.638 0.250 0.939
8 Co 0.862 0.750 0.439
9 P 0.224 0.750 0.387
10 P 0.276 0.250 0.887
11 P 0.724 0.750 0.113
12 P 0.776 0.250 0.613


The following is a DFT calculation (PBE) of crystalline EuBr2 at its relaxed geometry.

Properties
Raw total energy in eV per atom: -6.556
V in Å³/cell: 236.1
Symmetry: P4_2/mnm (136)
Corrected total energy (MP2020 scheme) in eV per atom: -6.912
E_form in eV/f.u.: -7.204

Lattice parameters (Å, degrees): 7.143 7.143 4.627 90.00 90.00 90.00
Fractional positions:
1 Eu 0.000 0.000 0.000
2 Eu 0.500 0.500 0.500
3 Br 0.197 0.197 0.500
4 Br 0.303 0.697 0.000
5 Br 0.697 0.303 0.000
6 Br 0.803 0.803 0.500


The following is a DFT calculation (PBE) of crystalline Re3S4Br at its relaxed geometry.

Properties
Raw total energy in eV per atom: -7.508
V in Å³/cell: 756.4
Symmetry: P2_1/c (14)
Corrected total energy (MP2020 scheme) in eV per atom: -7.826
E_form in eV/f.u.: -7.091

Lattice parameters (Å, degrees): 6.456 11.667 11.087 90.00 115.08 90.00
Fractional positions:
1 Re 0.036 0.147 0.446
2 Re 0.036 0.353 0.946
3 Re 0.042 0.059 0.665
4 Re 0.042 0.441 0.165
5 Re 0.311 0.524 0.063
6 Re 0.311 0.976 0.563
7 Re 0.689 0.024 0.437
8 Re 0.689 0.476 0.937
9 Re 0.958 0.559 0.835
10 Re 0.958 0.941 0.335
11 Re 0.964 0.647 0.054
12 Re 0.964 0.853 0.554
13 S 0.216 0.710 0.959
14 S 0.216 0.790 0.459
15 S 0.267 0.064 0.344
16 S 0.267 0.436 0.844
17 S 0.294 0.602 0.259
18 S 0.294 0.898 0.759
19 S 0.358 0.164 0.662
20 S 0.358 0.336 0.162
21 S 0.642 0.664 0.838
22 S 0.642 0.836 0.338
23 S 0.706 0.102 0.241
24 S 0.706 0.398 0.741
25 S 0.733 0.564 0.156
26 S 0.733 0.936 0.656
27 S 0.784 0.210 0.541
28 S 0.784 0.290 0.041
29 Br 0.109 0.135 0.902
30 Br 0.109 0.365 0.402
31 Br 0.891 0.635 0.598
32 Br 0.891 0.865 0.098


The following is a DFT calculation (PBE) of crystalline Er2SiGe at its relaxed geometry.

Properties
Raw total energy in eV per atom: -5.625
V in Å³/cell: 86.8
Symmetry: Amm2 (38)
E_form in eV/f.u.: -3.317

Lattice parameters (Å, degrees): 3.873 5.691 5.691 43.80 90.00 90.00
Fractional positions:
1 Er 0.000 0.000 0.000
2 Er 0.500 0.280 0.280
3 Si 0.500 0.558 0.558
4 Ge 0.000 0.720 0.720


The following is a DFT calculation (PBE) of crystalline EuTm2O4 at its relaxed geometry.

Properties
Total moment in μB per cell: 27.9
Raw total energy in eV per atom: -8.978
V in Å³/cell: 396.5
Symmetry: Pnma (62)
Corrected total energy (MP2020 scheme) in eV per atom: -9.371
E_form in eV/f.u.: -26.593

Lattice parameters (Å, degrees): 9.969 3.361 11.834 90.00 90.00 90.00
Fractional positions:
1 Eu 0.248 0.250 0.149
2 Eu 0.252 0.750 0.649
3 Eu 0.748 0.250 0.351
4 Eu 0.752 0.750 0.851
5 Tm 0.077 0.250 0.387
6 Tm 0.077 0.250 0.890
7 Tm 0.423 0.750 0.390
8 Tm 0.423 0.750 0.887
9 Tm 0.577 0.250 0.113
10 Tm 0.577 0.250 0.610
11 Tm 0.923 0.750 0.110
12 Tm 0.923 0.750 0.613
13 O 0.015 0.750 0.783
14 O 0.076 0.250 0.577
15 O 0.125 0.750 0.020
16 O 0.212 0.750 0.327
17 O 0.288 0.250 0.827
18 O 0.375 0.250 0.520
19 O 0.424 0.750 0.077
20 O 0.485 0.250 0.283
21 O 0.515 0.750 0.717
22 O 0.576 0.250 0.923
23 O 0.625 0.750 0.480
24 O 0.712 0.750 0.173
25 O 0.788 0.250 0.673
26 O 0.875 0.250 0.980
27 O 0.924 0.750 0.423
28 O 0.985 0.250 0.217


The following is a DFT calculation (PBE) of crystalline CrFe4Sb10 at its relaxed geometry.

Properties
Total moment in μB per cell: 2.7
Raw total energy in eV per atom: -5.652
V in Å³/cell: 620.4
Symmetry: P2/m (10)
Corrected total energy (MP2020 scheme) in eV per atom: -5.780
E_form in eV/f.u.: -1.881

Lattice parameters (Å, degrees): 5.906 3.183 33.008 90.00 90.02 90.00
Fractional positions:
1 Cr 0.000 0.000 0.100
2 Cr 0.000 0.000 0.900
3 Fe 0.000 0.000 0.300
4 Fe 0.000 0.000 0.500
5 Fe 0.000 0.000 0.700
6 Fe 0.499 0.500 0.799
7 Fe 0.500 0.500 0.000
8 Fe 0.500 0.500 0.400
9 Fe 0.500 0.500 0.600
10 Fe 0.501 0.500 0.201
11 Sb 0.191 0.000 0.230
12 Sb 0.191 0.000 0.429
13 Sb 0.191 0.000 0.629
14 Sb 0.195 0.000 0.027
15 Sb 0.195 0.000 0.827
16 Sb 0.309 0.500 0.329
17 Sb 0.309 0.500 0.529
18 Sb 0.309 0.500 0.728
19 Sb 0.322 0.500 0.131
20 Sb 0.322 0.500 0.930
21 Sb 0.678 0.500 0.070
22 Sb 0.678 0.500 0.869
23 Sb 0.691 0.500 0.272
24 Sb 0.691 0.500 0.471
25 Sb 0.691 0.500 0.671
26 Sb 0.805 0.000 0.173
27 Sb 0.805 0.000 0.973
28 Sb 0.809 0.000 0.371
29 Sb 0.809 0.000 0.571
30 Sb 0.809 0.000 0.770


The following is a DFT calculation (PBE) of crystalline Pr3In5 at its relaxed geometry.

Properties
Raw total energy in eV per atom: -4.027
V in Å³/cell: 460.3
Symmetry: Cmcm (63)
E_form in eV/f.u.: -4.115

Lattice parameters (Å, degrees): 6.645 6.645 10.647 90.00 90.00 78.30
Fractional positions:
1 Pr 0.132 0.868 0.750
2 Pr 0.298 0.298 0.000
3 Pr 0.298 0.298 0.500
4 Pr 0.702 0.702 0.000
5 Pr 0.702 0.702 0.500
6 Pr 0.868 0.132 0.250
7 In 0.003 0.423 0.750
8 In 0.193 0.807 0.050
9 In 0.193 0.807 0.450
10 In 0.423 0.003 0.250
11 In 0.486 0.514 0.250
12 In 0.514 0.486 0.750
13 In 0.577 0.997 0.750
14 In 0.807 0.193 0.550
15 In 0.807 0.193 0.950
16 In 0.997 0.577 0.250


The following is a DFT calculation (PBE) of crystalline Sm3SbO7 at its relaxed geometry.

Properties
Raw total energy in eV per atom: -7.726
V in Å³/cell: 317.3
Symmetry: Cmcm (63)
Corrected total energy (MP2020 scheme) in eV per atom: -8.163
E_form in eV/f.u.: -36.873

Lattice parameters (Å, degrees): 6.619 6.619 7.688 90.00 90.00 109.62
Fractional positions:
1 Sm 0.000 0.000 0.000
2 Sm 0.000 0.000 0.500
3 Sm 0.032 0.500 0.750
4 Sm 0.500 0.032 0.250
5 Sm 0.500 0.968 0.750
6 Sm 0.968 0.500 0.250
7 Sb 0.500 0.500 0.000
8 Sb 0.500 0.500 0.500
9 O 0.130 0.870 0.250
10 O 0.136 0.864 0.750
11 O 0.183 0.430 0.028
12 O 0.183 0.430 0.472
13 O 0.430 0.183 0.528
14 O 0.430 0.183 0.972
15 O 0.435 0.565 0.750
16 O 0.565 0.435 0.250
17 O 0.570 0.817 0.028
18 O 0.570 0.817 0.472
19 O 0.817 0.570 0.528
20 O 0.817 0.570 0.972
21 O 0.864 0.136 0.250
22 O 0.870 0.130 0.750


The following is a DFT calculation (PBE) of crystalline UF5 at its relaxed geometry.

Properties
Distance to the lowest polymorph of the same formula in eV/f.u.: 0.43
Total moment in μB per cell: 4.0
Raw total energy in eV per atom: -6.897
V in Å³/cell: 358.8
Symmetry: I-42d (122)
Corrected total energy (MP2020 scheme) in eV per atom: -7.282
E_form in eV/f.u.: -22.830

Lattice parameters (Å, degrees): 8.601 8.601 8.601 95.61 95.61 143.57
Fractional positions:
1 U 0.375 0.215 0.340
2 U 0.785 0.125 0.160
3 U 0.875 0.035 0.660
4 U 0.965 0.625 0.840
5 F 0.074 0.144 0.221
6 F 0.140 0.849 0.370
7 F 0.147 0.926 0.069
8 F 0.149 0.125 0.524
9 F 0.151 0.521 0.291
10 F 0.230 0.860 0.709
11 F 0.271 0.401 0.791
12 F 0.375 0.851 0.976
13 F 0.479 0.770 0.630
14 F 0.520 0.729 0.130
15 F 0.599 0.390 0.870
16 F 0.601 0.625 0.476
17 F 0.603 0.172 0.279
18 F 0.610 0.480 0.209
19 F 0.676 0.397 0.569
20 F 0.828 0.106 0.431
21 F 0.856 0.078 0.931
22 F 0.875 0.399 0.024
23 F 0.894 0.324 0.721
24 F 0.922 0.853 0.779


The following is a DFT calculation (PBE) of crystalline VTe2 at its relaxed geometry.

Properties
Total moment in μB per cell: 1.0
Raw total energy in eV per atom: -5.431
V in Å³/cell: 80.5
Symmetry: P-3m1 (164)
Corrected total energy (MP2020 scheme) in eV per atom: -5.713
E_form in eV/f.u.: -1.768

Lattice parameters (Å, degrees): 3.656 3.656 6.954 90.00 90.00 120.00
Fractional positions:
1 V 0.000 0.000 0.000
2 Te 0.333 0.667 0.246
3 Te 0.667 0.333 0.754


The following is a DFT calculation (PBE) of crystalline EuCuSeF at its relaxed geometry.

Properties
Total moment in μB per cell: 14.0
Raw total energy in eV per atom: -6.917
V in Å³/cell: 144.5
Symmetry: P4/nmm (129)
Corrected total energy (MP2020 scheme) in eV per atom: -7.033
E_form in eV/f.u.: -8.365

Lattice parameters (Å, degrees): 4.045 4.045 8.830 90.00 90.00 90.00
Fractional positions:
1 Eu 0.250 0.250 0.168
2 Eu 0.750 0.750 0.832
3 Cu 0.250 0.750 0.500
4 Cu 0.750 0.250 0.500
5 Se 0.250 0.250 0.673
6 Se 0.750 0.750 0.327
7 F 0.250 0.750 0.000
8 F 0.750 0.250 0.000


The following is a DFT calculation (PBE) of crystalline NaCa4Ti4NbSi5O25 at its relaxed geometry.

Properties
Total moment in μB per cell: 0.0
Raw total energy in eV per atom: -7.996
V in Å³/cell: 965.8
Symmetry: P1 (1)
Corrected total energy (MP2020 scheme) in eV per atom: -8.425
E_form in eV/f.u.: -135.165

Lattice parameters (Å, degrees): 5.514 5.531 32.860 91.63 91.54 105.29
Fractional positions:
1 Na 0.000 0.000 0.000
2 Na 0.402 0.400 0.799
3 Ca 0.058 0.740 0.295
4 Ca 0.201 0.195 0.395
5 Ca 0.259 0.941 0.692
6 Ca 0.460 0.137 0.094
7 Ca 0.599 0.594 0.195
8 Ca 0.658 0.341 0.494
9 Ca 0.802 0.795 0.594
10 Ca 0.861 0.538 0.892
11 Ti 0.025 0.361 0.147
12 Ti 0.031 0.370 0.643
13 Ti 0.221 0.558 0.049
14 Ti 0.232 0.568 0.544
15 Ti 0.429 0.770 0.444
16 Ti 0.625 0.961 0.846
17 Ti 0.631 0.967 0.345
18 Ti 0.826 0.167 0.246
19 Nb 0.426 0.771 0.948
20 Nb 0.832 0.177 0.746
21 Si 0.010 0.988 0.495
22 Si 0.052 0.755 0.796
23 Si 0.210 0.185 0.894
24 Si 0.246 0.945 0.196
25 Si 0.408 0.386 0.296
26 Si 0.450 0.148 0.594
27 Si 0.609 0.588 0.692
28 Si 0.649 0.352 0.998
29 Si 0.810 0.784 0.097
30 Si 0.848 0.547 0.395
31 O 0.009 0.205 0.693
32 O 0.017 0.229 0.526
33 O 0.038 0.517 0.764
34 O 0.060 0.535 0.594
35 O 0.074 0.827 0.073
36 O 0.090 0.555 0.426
37 O 0.092 0.002 0.767
38 O 0.164 0.923 0.920
39 O 0.166 0.377 0.265
40 O 0.191 0.103 0.620
41 O 0.194 0.392 0.097
42 O 0.213 0.426 0.925
43 O 0.238 0.701 0.166
44 O 0.256 0.732 0.997
45 O 0.267 0.033 0.468
46 O 0.291 0.203 0.170
47 O 0.292 0.766 0.827
48 O 0.364 0.130 0.323
49 O 0.370 0.584 0.661
50 O 0.397 0.309 0.025
51 O 0.397 0.599 0.495
52 O 0.415 0.629 0.327
53 O 0.443 0.906 0.563
54 O 0.460 0.935 0.395
55 O 0.477 0.231 0.870
56 O 0.488 0.953 0.227
57 O 0.496 0.405 0.567
58 O 0.566 0.327 0.718
59 O 0.567 0.776 0.066
60 O 0.591 0.502 0.422
61 O 0.607 0.799 0.895
62 O 0.615 0.828 0.724
63 O 0.633 0.112 0.966
64 O 0.658 0.133 0.795
65 O 0.666 0.431 0.269
66 O 0.688 0.599 0.969
67 O 0.690 0.156 0.625
68 O 0.761 0.527 0.124
69 O 0.768 0.979 0.464
70 O 0.796 0.997 0.296
71 O 0.798 0.710 0.823
72 O 0.814 0.026 0.128
73 O 0.841 0.304 0.364
74 O 0.858 0.333 0.197
75 O 0.870 0.637 0.666
76 O 0.890 0.364 0.029
77 O 0.894 0.804 0.368
78 O 0.965 0.731 0.522
79 O 0.971 0.181 0.863
80 O 0.989 0.900 0.223